[1]
The following is a DFT calculation (PBE-GGA) of a geometry-optimized Li3Al2 structure.

Cell lengths 4.4437, 4.4437, 14.1595 Å; angles 90.00, 90.00, 120.00 degrees
Positions (direct):
Li: 0.0000 0.0000 0.0000
Li: 0.0000 0.0000 0.4028
Li: 0.0000 0.0000 0.5972
Li: 0.3333 0.6667 0.0695
Li: 0.3333 0.6667 0.2639
Li: 0.3333 0.6667 0.6667
Li: 0.6667 0.3333 0.3333
Li: 0.6667 0.3333 0.7361
Li: 0.6667 0.3333 0.9305
Al: 0.0000 0.0000 0.1983
Al: 0.0000 0.0000 0.8017
Al: 0.3333 0.6667 0.4684
Al: 0.3333 0.6667 0.8649
Al: 0.6667 0.3333 0.1351
Al: 0.6667 0.3333 0.5316

## Properties
SG: No. 166
Energy in eV/atom: -2.8288
ΔE_f in eV/f.u.: -0.926


[2]
The following is a DFT calculation (PBE-GGA) of a geometry-optimized LaDyO3 structure.

Cell lengths 6.1279, 5.9416, 8.5770 Å; angles 90.00, 90.00, 90.00 degrees
Positions (direct):
La: 0.0440 0.0099 0.0000
La: 0.4560 0.5099 0.5000
La: 0.5440 0.4901 0.0000
La: 0.9560 0.9901 0.5000
Dy: 0.0050 0.4999 0.7449
Dy: 0.4950 0.9999 0.2449
Dy: 0.5050 0.0001 0.7449
Dy: 0.9950 0.5001 0.2449
O: 0.0639 0.3729 0.4927
O: 0.1726 0.8230 0.3019
O: 0.2017 0.8068 0.6703
O: 0.2983 0.3068 0.1703
O: 0.3274 0.3230 0.8019
O: 0.4361 0.8729 0.9927
O: 0.5639 0.1271 0.4927
O: 0.6726 0.6770 0.3019
O: 0.7017 0.6932 0.6703
O: 0.7983 0.1932 0.1703
O: 0.8274 0.1770 0.8019
O: 0.9361 0.6271 0.9927

## Properties
SG: No. 33
Size of the total moment in μB/cell: 0.0
Energy in eV/atom: -8.3672
ΔE_f in eV/f.u.: -19.510


[3]
The following is a DFT calculation (PBE-GGA) of a geometry-optimized TlCuO2 structure.

Cell lengths 3.5367, 3.5367, 17.7267 Å; angles 90.00, 90.00, 120.00 degrees
Positions (direct):
Tl: 0.0000 0.0000 0.0000
Tl: 0.3333 0.6667 0.6667
Tl: 0.6667 0.3333 0.3333
Cu: 0.0000 0.0000 0.5000
Cu: 0.3333 0.6667 0.1667
Cu: 0.6667 0.3333 0.8333
O: 0.0000 0.0000 0.3970
O: 0.0000 0.0000 0.6030
O: 0.3333 0.6667 0.0637
O: 0.3333 0.6667 0.2696
O: 0.6667 0.3333 0.7304
O: 0.6667 0.3333 0.9363

## Properties
Energy relative to the lowest polymorph listed for this composition in meV per atom: 21.4
SG: No. 166
Size of the total moment in μB/cell: 0.0
Energy in eV/atom: -4.6745
ΔE_f in eV/f.u.: -3.714


[4]
The following is a DFT calculation (PBE-GGA) of a geometry-optimized Ca2PClO4 structure.

Cell lengths 6.2527, 7.0520, 10.9116 Å; angles 90.00, 90.00, 90.00 degrees
Positions (direct):
Ca: 0.1296 0.0282 0.2500
Ca: 0.1296 0.4718 0.7500
Ca: 0.3666 0.7500 0.0000
Ca: 0.3666 0.7500 0.5000
Ca: 0.6334 0.2500 0.0000
Ca: 0.6334 0.2500 0.5000
Ca: 0.8704 0.5282 0.2500
Ca: 0.8704 0.9718 0.7500
P: 0.1376 0.2500 0.0000
P: 0.1376 0.2500 0.5000
P: 0.8624 0.7500 0.0000
P: 0.8624 0.7500 0.5000
Cl: 0.4809 0.7171 0.7500
Cl: 0.4809 0.7829 0.2500
Cl: 0.5191 0.2171 0.7500
Cl: 0.5191 0.2829 0.2500
O: 0.0100 0.7281 0.6149
O: 0.0100 0.7281 0.8851
O: 0.0100 0.7719 0.1149
O: 0.0100 0.7719 0.3851
O: 0.2842 0.0764 0.0233
O: 0.2842 0.0764 0.4767
O: 0.2842 0.4236 0.5233
O: 0.2842 0.4236 0.9767
O: 0.7158 0.5764 0.0233
O: 0.7158 0.5764 0.4767
O: 0.7158 0.9236 0.5233
O: 0.7158 0.9236 0.9767
O: 0.9900 0.2281 0.6149
O: 0.9900 0.2281 0.8851
O: 0.9900 0.2719 0.1149
O: 0.9900 0.2719 0.3851

## Properties
SG: No. 57
Size of the total moment in μB/cell: 0.0
Energy in eV/atom: -6.7232
ΔE_f in eV/f.u.: -25.468


[5]
The following is a DFT calculation (PBE-GGA) of a geometry-optimized K4LiC2O6 structure.

Cell lengths 6.5603, 6.5603, 8.0603 Å; angles 102.76, 102.76, 55.36 degrees
Positions (direct):
K: 0.0000 0.0000 0.0000
K: 0.0000 0.0000 0.5000
K: 0.2792 0.2792 0.8292
K: 0.7208 0.7208 0.1708
Li: 0.5000 0.5000 0.5000
C: 0.3265 0.3265 0.2695
C: 0.6735 0.6735 0.7305
O: 0.1943 0.5612 0.3334
O: 0.2298 0.2298 0.1481
O: 0.4388 0.8057 0.6666
O: 0.5612 0.1943 0.3334
O: 0.7702 0.7702 0.8519
O: 0.8057 0.4388 0.6666

## Properties
SG: No. 12
Size of the total moment in μB/cell: 0.1
Energy in eV/atom: -5.7582
ΔE_f in eV/f.u.: -24.484


[6]
The following is a DFT calculation (PBE-GGA) of a geometry-optimized Ba2B2O5 structure.

Cell lengths 11.0583, 4.2420, 13.4699 Å; angles 90.00, 106.03, 90.00 degrees
Positions (direct):
Ba: 0.0857 0.2266 0.1621
Ba: 0.0857 0.2734 0.6621
Ba: 0.3948 0.7446 0.1073
Ba: 0.3948 0.7554 0.6073
Ba: 0.6052 0.2446 0.3927
Ba: 0.6052 0.2554 0.8927
Ba: 0.9143 0.7266 0.3379
Ba: 0.9143 0.7734 0.8379
B: 0.1933 0.1604 0.4308
B: 0.1933 0.3396 0.9308
B: 0.3252 0.6887 0.8259
B: 0.3252 0.8113 0.3259
B: 0.6748 0.1887 0.6741
B: 0.6748 0.3113 0.1741
B: 0.8067 0.6604 0.0692
B: 0.8067 0.8396 0.5692
O: 0.0792 0.2048 0.3593
O: 0.0792 0.2952 0.8593
O: 0.2233 0.2318 0.0305
O: 0.2233 0.2682 0.5305
O: 0.2377 0.7411 0.2345
O: 0.2377 0.7589 0.7345
O: 0.2926 0.5198 0.9075
O: 0.2926 0.9802 0.4075
O: 0.4505 0.7411 0.3449
O: 0.4505 0.7589 0.8449
O: 0.5495 0.2411 0.1551
O: 0.5495 0.2589 0.6551
O: 0.7074 0.0198 0.5925
O: 0.7074 0.4802 0.0925
O: 0.7623 0.2411 0.2655
O: 0.7623 0.2589 0.7655
O: 0.7767 0.7318 0.4695
O: 0.7767 0.7682 0.9695
O: 0.9208 0.7048 0.1407
O: 0.9208 0.7952 0.6407

## Properties
Energy relative to the lowest polymorph listed for this composition in meV per atom: 11.4
SG: No. 14
Energy in eV/atom: -7.4081
ΔE_f in eV/f.u.: -28.172


[7]
The following is a DFT calculation (PBE-GGA) of a geometry-optimized KNaICl structure.

Cell lengths 4.5104, 4.5104, 6.8191 Å; angles 90.00, 90.00, 90.00 degrees
Positions (direct):
K: 0.0000 0.0000 0.0000
Na: 0.5000 0.5000 0.5000
I: 0.0000 0.0000 0.5000
Cl: 0.5000 0.5000 0.0000

## Properties
SG: No. 123
Size of the total moment in μB/cell: 0.0
Energy in eV/atom: -3.0236
ΔE_f in eV/f.u.: -6.903


[8]
The following is a DFT calculation (PBE-GGA) of a geometry-optimized BaCdAsF structure.

Cell lengths 4.4832, 4.4832, 9.6534 Å; angles 90.00, 90.00, 90.00 degrees
Positions (direct):
Ba: 0.2500 0.2500 0.1549
Ba: 0.7500 0.7500 0.8451
Cd: 0.2500 0.7500 0.5000
Cd: 0.7500 0.2500 0.5000
As: 0.2500 0.2500 0.6781
As: 0.7500 0.7500 0.3219
F: 0.2500 0.7500 0.0000
F: 0.7500 0.2500 0.0000

## Properties
SG: No. 129
Size of the total moment in μB/cell: 0.0
Energy in eV/atom: -4.1986
ΔE_f in eV/f.u.: -7.841


[9]
The following is a DFT calculation (PBE-GGA) of a geometry-optimized Nd2FeSb4 structure.

Cell lengths 4.4306, 4.4306, 9.5972 Å; angles 90.00, 90.00, 90.00 degrees
Positions (direct):
Nd: 0.0000 0.5000 0.2384
Nd: 0.5000 0.0000 0.7616
Fe: 0.5000 0.5000 0.0000
Sb: 0.0000 0.0000 0.5000
Sb: 0.0000 0.5000 0.8760
Sb: 0.5000 0.0000 0.1240
Sb: 0.5000 0.5000 0.5000

## Properties
SG: No. 115
Size of the total moment in μB/cell: 2.0
Energy in eV/atom: -5.5669
ΔE_f in eV/f.u.: -5.214


[10]
The following is a DFT calculation (PBE-GGA) of a geometry-optimized TiBrN structure.

Cell lengths 3.3777, 3.9614, 8.9324 Å; angles 90.00, 90.00, 90.00 degrees
Positions (direct):
Ti: 0.2500 0.2500 0.0836
Ti: 0.7500 0.7500 0.9164
Br: 0.2500 0.7500 0.6923
Br: 0.7500 0.2500 0.3077
N: 0.2500 0.7500 0.0391
N: 0.7500 0.2500 0.9609

## Properties
SG: No. 59
Energy in eV/atom: -7.3359
ΔE_f in eV/f.u.: -4.500


[11]
The following is a DFT calculation (PBE-GGA) of a geometry-optimized Ho6FeBi2 structure.

Cell lengths 8.3053, 8.3053, 4.1482 Å; angles 90.00, 90.00, 120.00 degrees
Positions (direct):
Ho: 0.0000 0.3891 0.0000
Ho: 0.0000 0.7705 0.5000
Ho: 0.2295 0.2295 0.5000
Ho: 0.3891 0.0000 0.0000
Ho: 0.6109 0.6109 0.0000
Ho: 0.7705 0.0000 0.5000
Fe: 0.0000 0.0000 0.0000
Bi: 0.3333 0.6667 0.5000
Bi: 0.6667 0.3333 0.5000

## Properties
SG: No. 189
Energy in eV/atom: -5.2803
ΔE_f in eV/f.u.: -3.779


[12]
The following is a DFT calculation (PBE-GGA) of a geometry-optimized Ca9PrF20 structure.

Cell lengths 7.8398, 8.8349, 13.0267 Å; angles 101.93, 90.11, 102.85 degrees
Positions (direct):
Ca: 0.0218 0.0962 0.1497
Ca: 0.0727 0.3003 0.4536
Ca: 0.1242 0.5001 0.7501
Ca: 0.1725 0.7008 0.0468
Ca: 0.2236 0.9044 0.3501
Ca: 0.2712 0.0962 0.6487
Ca: 0.3218 0.2985 0.9514
Ca: 0.4228 0.7028 0.5490
Ca: 0.4739 0.9045 0.8510
Ca: 0.5261 0.0955 0.1490
Ca: 0.5772 0.2972 0.4510
Ca: 0.6782 0.7015 0.0486
Ca: 0.7288 0.9038 0.3513
Ca: 0.7764 0.0956 0.6499
Ca: 0.8275 0.2992 0.9532
Ca: 0.8758 0.4999 0.2499
Ca: 0.9273 0.6997 0.5464
Ca: 0.9782 0.9038 0.8503
Pr: 0.3731 0.5002 0.2503
Pr: 0.6269 0.4998 0.7497
F: 0.0118 0.0494 0.3257
F: 0.0376 0.1491 0.9754
F: 0.0622 0.2493 0.6256
F: 0.0803 0.3403 0.2768
F: 0.1129 0.4493 0.9246
F: 0.1380 0.5509 0.5755
F: 0.1601 0.6591 0.2231
F: 0.1879 0.7513 0.8746
F: 0.2120 0.8504 0.5245
F: 0.2370 0.9501 0.1747
F: 0.2621 0.0503 0.8256
F: 0.2864 0.1481 0.4752
F: 0.3103 0.2400 0.1242
F: 0.3318 0.3421 0.7762
F: 0.3615 0.4426 0.4287
F: 0.3901 0.5572 0.0715
F: 0.4104 0.6574 0.7240
F: 0.4406 0.7609 0.3760
F: 0.4633 0.8512 0.0247
F: 0.4866 0.9492 0.6750
F: 0.5134 0.0508 0.3250
F: 0.5367 0.1488 0.9753
F: 0.5594 0.2391 0.6240
F: 0.5896 0.3426 0.2760
F: 0.6099 0.4428 0.9285
F: 0.6385 0.5574 0.5713
F: 0.6682 0.6579 0.2238
F: 0.6897 0.7600 0.8758
F: 0.7136 0.8519 0.5248
F: 0.7379 0.9497 0.1744
F: 0.7630 0.0499 0.8253
F: 0.7880 0.1496 0.4755
F: 0.8121 0.2487 0.1254
F: 0.8399 0.3409 0.7769
F: 0.8620 0.4491 0.4245
F: 0.8871 0.5507 0.0754
F: 0.9197 0.6597 0.7232
F: 0.9378 0.7507 0.3744
F: 0.9624 0.8509 0.0246
F: 0.9882 0.9506 0.6743

## Properties
SG: No. 2
Size of the total moment in μB/cell: 2.0
Energy in eV/atom: -5.8717
ΔE_f in eV/f.u.: -124.268


[13]
The following is a DFT calculation (PBE-GGA) of a geometry-optimized ReF7 structure.

Cell lengths 5.1697, 5.2090, 9.2969 Å; angles 90.86, 93.42, 114.26 degrees
Positions (direct):
Re: 0.1392 0.3683 0.2507
Re: 0.8608 0.6317 0.7493
F: 0.0590 0.7704 0.5828
F: 0.1041 0.4446 0.7268
F: 0.1720 0.9136 0.8477
F: 0.2239 0.6452 0.1106
F: 0.3028 0.1410 0.3402
F: 0.3386 0.2736 0.1107
F: 0.4242 0.6546 0.3631
F: 0.5758 0.3454 0.6369
F: 0.6614 0.7264 0.8893
F: 0.6972 0.8590 0.6598
F: 0.7761 0.3548 0.8894
F: 0.8280 0.0864 0.1523
F: 0.8959 0.5554 0.2732
F: 0.9410 0.2296 0.4172

## Properties
SG: No. 2
Energy in eV/atom: -5.2206
ΔE_f in eV/f.u.: -19.152


[14]
The following is a DFT calculation (PBE-GGA) of a geometry-optimized Si2SbO6 structure.

Cell lengths 6.8355, 6.8355, 5.4918 Å; angles 104.62, 104.62, 85.73 degrees
Positions (direct):
Si: 0.1184 0.2778 0.2401
Si: 0.2778 0.1184 0.7401
Si: 0.7222 0.8816 0.2599
Si: 0.8816 0.7222 0.7599
Sb: 0.3792 0.6208 0.7500
Sb: 0.6208 0.3792 0.2500
O: 0.1024 0.6139 0.8172
O: 0.1334 0.1578 0.4686
O: 0.1578 0.1334 0.9686
O: 0.3077 0.4471 0.3534
O: 0.3861 0.8976 0.6828
O: 0.4471 0.3077 0.8534
O: 0.5529 0.6923 0.1466
O: 0.6139 0.1024 0.3172
O: 0.6923 0.5529 0.6466
O: 0.8422 0.8666 0.0314
O: 0.8666 0.8422 0.5314
O: 0.8976 0.3861 0.1828

## Properties
Energy relative to the lowest polymorph listed for this composition in meV per atom: 0.0
SG: No. 15
Size of the total moment in μB/cell: 0.0
Energy in eV/atom: -7.1416
ΔE_f in eV/f.u.: -23.729


[15]
The following is a DFT calculation (PBE-GGA) of a geometry-optimized LaRu2 structure.

Cell lengths 5.4641, 5.4641, 5.4641 Å; angles 60.00, 60.00, 60.00 degrees
Positions (direct):
La: 0.1250 0.1250 0.1250
La: 0.8750 0.8750 0.8750
Ru: 0.0000 0.5000 0.5000
Ru: 0.5000 0.0000 0.5000
Ru: 0.5000 0.5000 0.0000
Ru: 0.5000 0.5000 0.5000

## Properties
SG: No. 227
Energy in eV/atom: -7.9602
ΔE_f in eV/f.u.: -0.396